Computed, not measured: a relaxed Cu crystal at the meta-GGA r2SCAN level of DFT. Values from VASP.

```
&SYSTEM
  ibrav = 0, nat = 4, ntyp = 1
/
ATOMIC_SPECIES
Cu 63.55 Cu.upf
ATOMIC_POSITIONS crystal
Cu 0.0000 0.0000 0.0000
Cu 0.0000 0.0000 0.5000
Cu 0.3333 0.6667 0.2500
Cu 0.6667 0.3333 0.7500
CELL_PARAMETERS angstrom
2.5308 0.0000 0.0000
-1.2654 2.1917 0.0000
0.0000 0.0000 8.2618
```

Output
The calculation puts the formation enthalpy at 0 K at 7.7 meV/atom. The space group is P6_3/mmc (194).



Computed, not measured: a relaxed PmZn2Cd crystal at the meta-GGA r2SCAN level of DFT. Values from VASP.

```
&SYSTEM
  ibrav = 0, nat = 4, ntyp = 3
/
ATOMIC_SPECIES
Pm 145.00 Pm.upf
Zn 65.41 Zn.upf
Cd 112.41 Cd.upf
ATOMIC_POSITIONS crystal
Pm 0.0000 0.0000 0.0000
Zn 0.2500 0.2500 0.2500
Zn 0.7500 0.7500 0.7500
Cd 0.5000 0.5000 0.5000
CELL_PARAMETERS angstrom
0.0000 3.4284 3.4284
3.4284 0.0000 3.4284
3.4284 3.4284 0.0000
```

Output
The calculation puts the formation enthalpy at 0 K at -350.4 meV/atom. The space group is Fm-3m (225).



Computed, not measured: a relaxed NbSe2 crystal at the meta-GGA r2SCAN level of DFT. Values from VASP.

```
&SYSTEM
  ibrav = 0, nat = 12, ntyp = 2
/
ATOMIC_SPECIES
Nb 92.91 Nb.upf
Se 78.96 Se.upf
ATOMIC_POSITIONS crystal
Nb 0.0000 0.0000 0.0000
Nb 0.0000 0.0000 0.2488
Nb 0.0000 0.0000 0.7512
Nb 0.3333 0.6667 0.5000
Se 0.0000 0.0000 0.4377
Se 0.0000 0.0000 0.5623
Se 0.3333 0.6667 0.0623
Se 0.3333 0.6667 0.9377
Se 0.6667 0.3333 0.1864
Se 0.6667 0.3333 0.3112
Se 0.6667 0.3333 0.6888
Se 0.6667 0.3333 0.8136
CELL_PARAMETERS angstrom
3.4997 0.0000 0.0000
-1.7499 3.0308 0.0000
0.0000 0.0000 26.8296
```

Output
The calculation puts the formation enthalpy at 0 K at -982.4 meV/atom. The space group is P-6m2 (187).



Which value of formation enthalpy at 0 K does entry 2 give? -350.4 meV/atom



What is the formation enthalpy at 0 K in the third record? -982.4 meV/atom



Which value of formation enthalpy at 0 K does entry 3 give? -982.4 meV/atom